Record 1
The following is a DFT calculation (PBE+U) of an optimized crystal structure of Na5CoO4.

magnetic moment	2.0	μB/f.u.
symmetry	Pmn2_1 (31)
distance to the lowest polymorph of the same formula	0.044	eV/atom

```
data_Na5CoO4
_chemical_formula_sum 'Na10 Co2 O8'
_space_group_name_H-M_alt 'P 1'
_space_group_IT_number 1
_cell_length_a 5.921
_cell_length_b 6.073
_cell_length_c 7.671
_cell_angle_alpha 90.00
_cell_angle_beta 90.00
_cell_angle_gamma 90.00
loop_
_space_group_symop_operation_xyz
'x,y,z'
loop_
_atom_site_label
_atom_site_type_symbol
_atom_site_fract_x
_atom_site_fract_y
_atom_site_fract_z
O1 O 0.601 0.267 0.279
Na1 Na 0.249 0.389 0.801
Na2 Na 0.746 0.325 0.000
O2 O 0.189 0.259 0.500
O3 O 0.101 0.733 0.779
Na3 Na 0.932 0.068 0.684
O4 O 0.097 0.128 0.000
O5 O 0.597 0.872 0.500
Na4 Na 0.249 0.389 0.199
Na5 Na 0.749 0.611 0.699
Co1 Co 0.495 0.174 0.500
Na6 Na 0.246 0.675 0.500
Na7 Na 0.432 0.932 0.184
Na8 Na 0.932 0.068 0.316
Na9 Na 0.432 0.932 0.816
Na10 Na 0.749 0.611 0.301
O6 O 0.101 0.733 0.221
O7 O 0.601 0.267 0.721
O8 O 0.689 0.741 0.000
Co2 Co 0.995 0.826 0.000
```



Record 2
The following is a DFT calculation (PBE+U) of an optimized crystal structure of EuV4SnO12.

total energy	-7.528	eV/atom
magnetic moment	6.5	μB/f.u.
symmetry	Cmmm (65)

```
data_EuV4SnO12
_chemical_formula_sum 'Eu1 V4 Sn1 O12'
_space_group_name_H-M_alt 'P 1'
_space_group_IT_number 1
_cell_length_a 5.446
_cell_length_b 5.446
_cell_length_c 7.773
_cell_angle_alpha 90.00
_cell_angle_beta 90.00
_cell_angle_gamma 89.40
loop_
_space_group_symop_operation_xyz
'x,y,z'
loop_
_atom_site_label
_atom_site_type_symbol
_atom_site_fract_x
_atom_site_fract_y
_atom_site_fract_z
V1 V 0.000 0.500 0.254
O1 O 0.246 0.754 0.257
O2 O 0.500 0.000 0.000
O3 O 0.754 0.246 0.743
O4 O 0.730 0.730 0.741
V2 V 0.000 0.500 0.746
Sn1 Sn 0.000 0.000 0.000
O5 O 0.000 0.500 0.000
V3 V 0.500 0.000 0.254
O6 O 0.000 0.500 0.500
V4 V 0.500 0.000 0.746
O7 O 0.500 0.000 0.500
O8 O 0.270 0.270 0.741
O9 O 0.270 0.270 0.259
O10 O 0.730 0.730 0.259
Eu1 Eu 0.500 0.500 0.500
O11 O 0.246 0.754 0.743
O12 O 0.754 0.246 0.257
```



Record 3
The following is a DFT calculation (PBE+U) of an optimized crystal structure of Na4Ni7O16.

total energy	-4.561	eV/atom
magnetic moment	0.0	μB/f.u.
symmetry	P1 (1)

```
data_Na4Ni7O16
_chemical_formula_sum 'Na4 Ni7 O16'
_space_group_name_H-M_alt 'P 1'
_space_group_IT_number 1
_cell_length_a 7.097
_cell_length_b 7.142
_cell_length_c 7.514
_cell_angle_alpha 68.72
_cell_angle_beta 77.42
_cell_angle_gamma 63.50
loop_
_space_group_symop_operation_xyz
'x,y,z'
loop_
_atom_site_label
_atom_site_type_symbol
_atom_site_fract_x
_atom_site_fract_y
_atom_site_fract_z
O1 O 0.247 0.575 0.412
O2 O 0.222 0.972 0.120
O3 O 0.526 0.285 0.130
O4 O 0.992 0.171 0.374
O5 O 0.629 0.197 0.507
Na1 Na 0.037 0.460 0.669
O6 O 0.884 0.947 0.252
Ni1 Ni 0.624 0.372 0.875
O7 O 0.005 0.826 0.629
O8 O 0.106 0.722 0.979
Ni2 Ni 0.750 0.244 0.253
O9 O 0.747 0.413 0.623
Ni3 Ni 0.125 0.876 0.375
O10 O 0.756 0.072 0.881
O11 O 0.511 0.672 0.828
O12 O 0.372 0.454 0.763
Na2 Na 0.162 0.348 0.103
Na3 Na 0.598 0.897 0.187
Ni4 Ni 0.872 0.120 0.627
O13 O 0.652 0.524 0.272
O14 O 0.116 0.056 0.740
O15 O 0.867 0.304 0.994
O16 O 0.374 0.797 0.485
Ni5 Ni 0.253 0.755 0.743
Na4 Na 0.382 0.633 0.119
Ni6 Ni 0.501 0.495 0.504
Ni7 Ni 0.001 0.004 0.997
```



Record 4
The following is a DFT calculation (PBE+U) of an optimized crystal structure of MgMn6O6F6.

magnetic moment	26.0	μB/f.u.
symmetry	P1 (1)
distance to the lowest polymorph of the same formula	0.028	eV/atom

```
data_MgMn6O6F6
_chemical_formula_sum 'Mg1 Mn6 O6 F6'
_space_group_name_H-M_alt 'P 1'
_space_group_IT_number 1
_cell_length_a 5.321
_cell_length_b 14.675
_cell_length_c 3.058
_cell_angle_alpha 90.83
_cell_angle_beta 89.70
_cell_angle_gamma 94.31
loop_
_space_group_symop_operation_xyz
'x,y,z'
loop_
_atom_site_label
_atom_site_type_symbol
_atom_site_fract_x
_atom_site_fract_y
_atom_site_fract_z
F1 F 0.276 0.588 0.500
O1 O 0.019 0.931 0.470
Mn1 Mn 0.548 0.175 0.511
F2 F 0.676 0.770 0.431
Mn2 Mn 0.318 0.839 0.447
O2 O 0.277 0.262 0.516
O3 O 0.148 0.767 0.942
Mn3 Mn 0.136 0.325 0.011
Mn4 Mn 0.058 0.630 0.006
O4 O 0.828 0.089 0.494
Mg1 Mg 0.839 0.836 0.935
F3 F 0.541 0.909 0.949
O5 O 0.746 0.550 0.011
Mn5 Mn 0.959 0.026 0.988
O6 O 0.411 0.424 0.007
F4 F 0.753 0.243 0.012
Mn6 Mn 0.581 0.485 0.509
F5 F 0.955 0.386 0.505
F6 F 0.347 0.099 0.007
```



Record 5
The following is a DFT calculation (PBE+U) of an optimized crystal structure of LiCoPO4.

magnetic moment	0.0	μB/f.u.
symmetry	Pna2_1 (33)
distance to the lowest polymorph of the same formula	0.045	eV/atom

```
data_LiCoPO4
_chemical_formula_sum 'Li4 Co4 P4 O16'
_space_group_name_H-M_alt 'P 1'
_space_group_IT_number 1
_cell_length_a 5.099
_cell_length_b 10.955
_cell_length_c 6.288
_cell_angle_alpha 90.00
_cell_angle_beta 90.02
_cell_angle_gamma 90.00
loop_
_space_group_symop_operation_xyz
'x,y,z'
loop_
_atom_site_label
_atom_site_type_symbol
_atom_site_fract_x
_atom_site_fract_y
_atom_site_fract_z
Co1 Co 0.746 0.085 0.797
P1 P 0.250 0.672 0.463
P2 P 0.750 0.328 0.537
O1 O 0.184 0.091 0.236
O2 O 0.683 0.909 0.764
O3 O 0.633 0.888 0.168
O4 O 0.183 0.592 0.264
Li1 Li 0.747 0.832 0.466
Co2 Co 0.746 0.585 0.703
O5 O 0.134 0.302 0.064
Li2 Li 0.247 0.668 0.966
P3 P 0.250 0.172 0.037
Co3 Co 0.246 0.415 0.297
O6 O 0.053 0.321 0.514
O7 O 0.634 0.198 0.564
O8 O 0.633 0.388 0.332
P4 P 0.750 0.828 0.963
O9 O 0.684 0.409 0.736
O10 O 0.634 0.698 0.936
Li3 Li 0.247 0.168 0.534
O11 O 0.052 0.821 0.986
O12 O 0.134 0.802 0.436
O13 O 0.552 0.679 0.486
Li4 Li 0.747 0.332 0.034
O14 O 0.553 0.179 0.014
O15 O 0.133 0.612 0.668
O16 O 0.133 0.112 0.832
Co4 Co 0.246 0.915 0.203
```



Record 6
The following is a DFT calculation (PBE+U) of an optimized crystal structure of Mn5As4H10O20.

total energy	-6.176	eV/atom
magnetic moment	25.0	μB/f.u.
symmetry	C2/c (15)

```
data_Mn5As4H10O20
_chemical_formula_sum 'Mn10 As8 H20 O40'
_space_group_name_H-M_alt 'P 1'
_space_group_IT_number 1
_cell_length_a 10.359
_cell_length_b 10.359
_cell_length_c 9.953
_cell_angle_alpha 84.48
_cell_angle_beta 84.48
_cell_angle_gamma 54.26
loop_
_space_group_symop_operation_xyz
'x,y,z'
loop_
_atom_site_label
_atom_site_type_symbol
_atom_site_fract_x
_atom_site_fract_y
_atom_site_fract_z
O1 O 0.382 0.204 0.178
H1 H 0.911 0.617 0.084
O2 O 0.015 0.138 0.786
O3 O 0.577 0.590 0.659
H2 H 0.309 0.729 0.986
H3 H 0.484 0.600 0.153
As1 As 0.266 0.903 0.412
O4 O 0.563 0.109 0.634
Mn1 Mn 0.226 0.401 0.314
Mn2 Mn 0.895 0.105 0.250
O5 O 0.795 0.342 0.342
H4 H 0.655 0.484 0.224
H5 H 0.617 0.911 0.584
As2 As 0.097 0.734 0.088
H6 H 0.400 0.516 0.347
Mn3 Mn 0.203 0.146 0.137
H7 H 0.691 0.271 0.014
O6 O 0.667 0.818 0.528
Mn4 Mn 0.599 0.774 0.186
O7 O 0.590 0.577 0.159
O8 O 0.599 0.072 0.954
H8 H 0.600 0.484 0.653
O9 O 0.182 0.333 0.972
H9 H 0.516 0.345 0.276
O10 O 0.677 0.919 0.211
H10 H 0.516 0.400 0.847
H11 H 0.345 0.516 0.776
As3 As 0.579 0.102 0.125
Mn5 Mn 0.146 0.203 0.637
O11 O 0.891 0.437 0.866
O12 O 0.862 0.985 0.714
H12 H 0.419 0.167 0.525
Mn6 Mn 0.797 0.854 0.863
As4 As 0.898 0.421 0.375
H13 H 0.484 0.655 0.724
O13 O 0.401 0.928 0.046
O14 O 0.437 0.891 0.366
H14 H 0.383 0.089 0.416
O15 O 0.711 0.311 0.922
O16 O 0.019 0.811 0.932
O17 O 0.109 0.563 0.134
O18 O 0.928 0.401 0.546
O19 O 0.410 0.423 0.841
O20 O 0.796 0.618 0.322
Mn7 Mn 0.401 0.226 0.814
O21 O 0.311 0.711 0.422
O22 O 0.323 0.081 0.789
O23 O 0.072 0.599 0.454
O24 O 0.818 0.667 0.028
H15 H 0.729 0.309 0.486
O25 O 0.618 0.796 0.822
O26 O 0.342 0.795 0.842
O27 O 0.138 0.015 0.286
O28 O 0.689 0.289 0.578
O29 O 0.189 0.981 0.568
O30 O 0.658 0.205 0.158
H16 H 0.167 0.419 0.025
Mn8 Mn 0.774 0.599 0.686
As5 As 0.734 0.097 0.588
As6 As 0.102 0.579 0.625
O31 O 0.811 0.019 0.432
Mn9 Mn 0.105 0.895 0.750
H17 H 0.581 0.833 0.475
Mn10 Mn 0.854 0.797 0.363
H18 H 0.089 0.383 0.916
O32 O 0.985 0.862 0.214
As7 As 0.903 0.266 0.912
O33 O 0.333 0.182 0.472
O34 O 0.081 0.323 0.289
O35 O 0.981 0.189 0.068
O36 O 0.919 0.677 0.711
O37 O 0.423 0.410 0.341
As8 As 0.421 0.898 0.875
H19 H 0.271 0.691 0.514
O38 O 0.204 0.382 0.678
O39 O 0.205 0.658 0.658
H20 H 0.833 0.581 0.975
O40 O 0.289 0.689 0.078
```



Record 7
The following is a DFT calculation (PBE+U) of an optimized crystal structure of SrZnSnWO6.

total energy	-6.291	eV/atom
magnetic moment	0.0	μB/f.u.
symmetry	F-43m (216)

```
data_SrZnSnWO6
_chemical_formula_sum 'Sr1 Zn1 Sn1 W1 O6'
_space_group_name_H-M_alt 'P 1'
_space_group_IT_number 1
_cell_length_a 5.709
_cell_length_b 5.709
_cell_length_c 5.709
_cell_angle_alpha 60.00
_cell_angle_beta 60.00
_cell_angle_gamma 60.00
loop_
_space_group_symop_operation_xyz
'x,y,z'
loop_
_atom_site_label
_atom_site_type_symbol
_atom_site_fract_x
_atom_site_fract_y
_atom_site_fract_z
W1 W 0.500 0.500 0.500
O1 O 0.259 0.741 0.741
O2 O 0.259 0.741 0.259
O3 O 0.259 0.259 0.741
Sn1 Sn 0.250 0.250 0.250
Zn1 Zn 0.000 0.000 0.000
Sr1 Sr 0.750 0.750 0.750
O4 O 0.741 0.259 0.259
O5 O 0.741 0.741 0.259
O6 O 0.741 0.259 0.741
```



Record 8
The following is a DFT calculation (PBE+U) of an optimized crystal structure of Cr5O12.

magnetic moment	6.0	μB/f.u.
symmetry	Pbcn (60)
distance to the lowest polymorph of the same formula	0.025	eV/atom

```
data_Cr5O12
_chemical_formula_sum 'Cr20 O48'
_space_group_name_H-M_alt 'P 1'
_space_group_IT_number 1
_cell_length_a 8.394
_cell_length_b 8.434
_cell_length_c 12.273
_cell_angle_alpha 90.00
_cell_angle_beta 90.00
_cell_angle_gamma 90.00
loop_
_space_group_symop_operation_xyz
'x,y,z'
loop_
_atom_site_label
_atom_site_type_symbol
_atom_site_fract_x
_atom_site_fract_y
_atom_site_fract_z
O1 O 0.087 0.485 0.601
O2 O 0.587 0.515 0.601
Cr1 Cr 0.610 0.748 0.587
O3 O 0.644 0.009 0.246
O4 O 0.856 0.509 0.746
O5 O 0.647 0.722 0.421
O6 O 0.916 0.774 0.252
O7 O 0.356 0.491 0.746
O8 O 0.084 0.726 0.752
O9 O 0.147 0.778 0.079
O10 O 0.356 0.991 0.754
O11 O 0.624 0.220 0.431
O12 O 0.856 0.009 0.754
O13 O 0.145 0.016 0.580
O14 O 0.145 0.516 0.920
O15 O 0.584 0.774 0.748
Cr2 Cr 0.529 0.610 0.329
O16 O 0.853 0.722 0.579
Cr3 Cr 0.029 0.890 0.171
O17 O 0.353 0.778 0.921
O18 O 0.416 0.726 0.248
O19 O 0.147 0.278 0.421
O20 O 0.645 0.484 0.920
Cr4 Cr 0.110 0.252 0.587
O21 O 0.376 0.280 0.931
O22 O 0.916 0.274 0.248
Cr5 Cr 0.390 0.252 0.413
Cr6 Cr 0.471 0.890 0.829
O23 O 0.853 0.222 0.921
O24 O 0.087 0.985 0.899
O25 O 0.413 0.985 0.101
Cr7 Cr 0.390 0.752 0.087
O26 O 0.144 0.991 0.246
Cr8 Cr 0.110 0.752 0.913
Cr9 Cr 0.971 0.110 0.829
O27 O 0.353 0.278 0.579
O28 O 0.645 0.984 0.580
O29 O 0.876 0.720 0.931
Cr10 Cr 0.750 0.603 0.000
Cr11 Cr 0.890 0.248 0.087
Cr12 Cr 0.471 0.390 0.671
Cr13 Cr 0.029 0.390 0.329
O30 O 0.413 0.485 0.399
O31 O 0.624 0.720 0.069
O32 O 0.913 0.015 0.101
Cr14 Cr 0.750 0.103 0.500
Cr15 Cr 0.529 0.110 0.171
Cr16 Cr 0.890 0.748 0.413
O33 O 0.644 0.509 0.254
Cr17 Cr 0.971 0.610 0.671
Cr18 Cr 0.610 0.248 0.913
O34 O 0.084 0.226 0.748
O35 O 0.876 0.220 0.569
Cr19 Cr 0.250 0.897 0.500
O36 O 0.587 0.015 0.899
O37 O 0.584 0.274 0.752
O38 O 0.355 0.016 0.420
O39 O 0.855 0.484 0.080
O40 O 0.124 0.280 0.069
O41 O 0.416 0.226 0.252
O42 O 0.647 0.222 0.079
O43 O 0.855 0.984 0.420
O44 O 0.355 0.516 0.080
O45 O 0.376 0.780 0.569
Cr20 Cr 0.250 0.397 0.000
O46 O 0.144 0.491 0.254
O47 O 0.913 0.515 0.399
O48 O 0.124 0.780 0.431
```



Record 9
The following is a DFT calculation (PBE+U) of an optimized crystal structure of Li4TiCo3O8.

magnetic moment	7.0	μB/f.u.
symmetry	P-1 (2)
distance to the lowest polymorph of the same formula	0.026	eV/atom

```
data_Li4TiCo3O8
_chemical_formula_sum 'Li8 Ti2 Co6 O16'
_space_group_name_H-M_alt 'P 1'
_space_group_IT_number 1
_cell_length_a 5.907
_cell_length_b 5.914
_cell_length_c 10.333
_cell_angle_alpha 106.53
_cell_angle_beta 73.43
_cell_angle_gamma 119.99
loop_
_space_group_symop_operation_xyz
'x,y,z'
loop_
_atom_site_label
_atom_site_type_symbol
_atom_site_fract_x
_atom_site_fract_y
_atom_site_fract_z
O1 O 0.361 0.638 0.889
Li1 Li 0.249 0.749 0.251
Co1 Co 0.000 0.500 0.500
O2 O 0.867 0.112 0.392
Co2 Co 0.000 0.000 0.500
O3 O 0.117 0.358 0.117
O4 O 0.358 0.117 0.884
Co3 Co 0.500 0.500 0.000
Li2 Li 0.250 0.749 0.751
O5 O 0.122 0.878 0.116
O6 O 0.857 0.622 0.384
O7 O 0.878 0.122 0.884
O8 O 0.380 0.141 0.384
O9 O 0.133 0.888 0.608
Li3 Li 0.250 0.251 0.749
O10 O 0.883 0.642 0.883
Co4 Co 0.500 0.000 0.000
Li4 Li 0.749 0.749 0.750
O11 O 0.385 0.630 0.384
Li5 Li 0.251 0.251 0.250
O12 O 0.615 0.370 0.616
O13 O 0.143 0.378 0.616
Li6 Li 0.750 0.251 0.249
O14 O 0.639 0.362 0.111
O15 O 0.642 0.883 0.116
O16 O 0.620 0.859 0.616
Ti1 Ti 0.000 0.000 0.000
Ti2 Ti 0.500 0.500 0.500
Li7 Li 0.751 0.251 0.749
Co5 Co 0.500 0.000 0.500
Co6 Co 0.000 0.500 0.000
Li8 Li 0.750 0.749 0.251
```



Record 10
The following is a DFT calculation (PBE+U) of an optimized crystal structure of NaV3Fe3O12.

total energy	-7.026	eV/atom
magnetic moment	14.0	μB/f.u.
symmetry	P1 (1)

```
data_NaV3Fe3O12
_chemical_formula_sum 'Na2 V6 Fe6 O24'
_space_group_name_H-M_alt 'P 1'
_space_group_IT_number 1
_cell_length_a 6.888
_cell_length_b 8.318
_cell_length_c 10.034
_cell_angle_alpha 106.19
_cell_angle_beta 104.52
_cell_angle_gamma 101.93
loop_
_space_group_symop_operation_xyz
'x,y,z'
loop_
_atom_site_label
_atom_site_type_symbol
_atom_site_fract_x
_atom_site_fract_y
_atom_site_fract_z
Fe1 Fe 0.230 0.231 0.207
O1 O 0.372 0.477 0.349
O2 O 0.631 0.523 0.660
O3 O 0.197 0.011 0.235
O4 O 0.510 0.228 0.170
O5 O 0.312 0.052 0.824
O6 O 0.160 0.261 0.015
O7 O 0.025 0.720 0.743
Fe2 Fe 0.882 0.444 0.606
V1 V 0.907 0.214 0.876
V2 V 0.735 0.171 0.263
O8 O 0.267 0.730 0.046
Fe3 Fe 0.122 0.555 0.397
O9 O 0.727 0.271 0.958
O10 O 0.935 0.315 0.755
O11 O 0.181 0.478 0.578
V3 V 0.614 0.589 0.331
O12 O 0.987 0.287 0.262
Fe4 Fe 0.458 0.292 0.982
Na1 Na 0.981 0.029 0.558
O13 O 0.694 0.958 0.175
V4 V 0.273 0.833 0.739
O14 O 0.414 0.437 0.856
O15 O 0.328 0.196 0.580
O16 O 0.250 0.801 0.555
O17 O 0.577 0.547 0.143
O18 O 0.854 0.743 0.989
O19 O 0.746 0.192 0.442
O20 O 0.493 0.777 0.826
Na2 Na 0.453 0.987 0.461
O21 O 0.662 0.802 0.418
Fe5 Fe 0.548 0.708 0.019
O22 O 0.833 0.528 0.414
O23 O 0.083 0.670 0.251
V5 V 0.097 0.783 0.130
O24 O 0.823 0.989 0.772
Fe6 Fe 0.776 0.765 0.798
V6 V 0.387 0.410 0.670
```



What did the fourth record say?
The following is a DFT calculation (PBE+U) of an optimized crystal structure of MgMn6O6F6.

magnetic moment	26.0	μB/f.u.
symmetry	P1 (1)
distance to the lowest polymorph of the same formula	0.028	eV/atom

```
data_MgMn6O6F6
_chemical_formula_sum 'Mg1 Mn6 O6 F6'
_space_group_name_H-M_alt 'P 1'
_space_group_IT_number 1
_cell_length_a 5.321
_cell_length_b 14.675
_cell_length_c 3.058
_cell_angle_alpha 90.83
_cell_angle_beta 89.70
_cell_angle_gamma 94.31
loop_
_space_group_symop_operation_xyz
'x,y,z'
loop_
_atom_site_label
_atom_site_type_symbol
_atom_site_fract_x
_atom_site_fract_y
_atom_site_fract_z
F1 F 0.276 0.588 0.500
O1 O 0.019 0.931 0.470
Mn1 Mn 0.548 0.175 0.511
F2 F 0.676 0.770 0.431
Mn2 Mn 0.318 0.839 0.447
O2 O 0.277 0.262 0.516
O3 O 0.148 0.767 0.942
Mn3 Mn 0.136 0.325 0.011
Mn4 Mn 0.058 0.630 0.006
O4 O 0.828 0.089 0.494
Mg1 Mg 0.839 0.836 0.935
F3 F 0.541 0.909 0.949
O5 O 0.746 0.550 0.011
Mn5 Mn 0.959 0.026 0.988
O6 O 0.411 0.424 0.007
F4 F 0.753 0.243 0.012
Mn6 Mn 0.581 0.485 0.509
F5 F 0.955 0.386 0.505
F6 F 0.347 0.099 0.007
```



> magnetic moment of number 9 (Li4TiCo3O8)?

7.0 μB/f.u.



> Which formula does entry 10 have?

NaV3Fe3O12